Compound: CaPbI4
Source: the Materials Project
Functional: GGA-PBE
Structure: relaxed

Lattice parameters (Å, degrees): 9.745 7.852 15.528 90.00 93.03 90.00
Fractional coordinates of all 24 atoms:
Ca: 0.129 0.005 0.370
Ca: 0.129 0.495 0.870
Ca: 0.871 0.505 0.130
Ca: 0.871 0.995 0.630
Pb: 0.319 0.179 0.617
Pb: 0.319 0.321 0.117
Pb: 0.681 0.679 0.883
Pb: 0.681 0.821 0.383
I: 0.042 0.169 0.187
I: 0.042 0.331 0.687
I: 0.159 0.652 0.059
I: 0.159 0.848 0.559
I: 0.309 0.186 0.933
I: 0.309 0.314 0.433
I: 0.377 0.672 0.795
I: 0.377 0.828 0.295
I: 0.623 0.172 0.705
I: 0.623 0.328 0.205
I: 0.691 0.686 0.567
I: 0.691 0.814 0.067
I: 0.841 0.152 0.441
I: 0.841 0.348 0.941
I: 0.958 0.669 0.313
I: 0.958 0.831 0.813

energy relative to the elements = -1318 meV per atom
SG = P2_1/c, No. 14

Compound: Ba6Y2Al4O15
Source: the Materials Project
Functional: GGA-PBE
Structure: relaxed

Lattice parameters (Å, degrees): 7.954 5.970 18.559 90.00 91.70 90.00
Fractional coordinates of all 54 atoms:
Ba: 0.000 0.171 0.250
Ba: 0.000 0.829 0.750
Ba: 0.002 0.258 0.918
Ba: 0.002 0.742 0.418
Ba: 0.469 0.245 0.910
Ba: 0.469 0.755 0.410
Ba: 0.500 0.226 0.250
Ba: 0.500 0.774 0.750
Ba: 0.531 0.245 0.590
Ba: 0.531 0.755 0.090
Ba: 0.998 0.258 0.582
Ba: 0.998 0.742 0.082
Y: 0.252 0.247 0.090
Y: 0.252 0.753 0.590
Y: 0.748 0.247 0.410
Y: 0.748 0.753 0.910
Al: 0.252 0.249 0.444
Al: 0.252 0.751 0.944
Al: 0.280 0.271 0.732
Al: 0.280 0.729 0.232
Al: 0.720 0.271 0.768
Al: 0.720 0.729 0.268
Al: 0.748 0.249 0.056
Al: 0.748 0.751 0.556
O: 0.040 0.254 0.408
O: 0.040 0.746 0.908
O: 0.193 0.186 0.813
O: 0.193 0.814 0.313
O: 0.230 0.471 0.189
O: 0.230 0.529 0.689
O: 0.253 0.050 0.667
O: 0.253 0.950 0.167
O: 0.262 0.488 0.504
O: 0.262 0.512 0.004
O: 0.264 0.002 0.499
O: 0.264 0.998 0.999
O: 0.443 0.260 0.394
O: 0.443 0.740 0.894
O: 0.500 0.291 0.750
O: 0.500 0.709 0.250
O: 0.557 0.260 0.106
O: 0.557 0.740 0.606
O: 0.736 0.002 0.001
O: 0.736 0.998 0.501
O: 0.738 0.488 0.996
O: 0.738 0.512 0.496
O: 0.747 0.050 0.833
O: 0.747 0.950 0.333
O: 0.770 0.471 0.311
O: 0.770 0.529 0.811
O: 0.807 0.186 0.687
O: 0.807 0.814 0.187
O: 0.960 0.254 0.092
O: 0.960 0.746 0.592

energy relative to the elements = -3408 meV per atom
SG = P2/c, No. 13

Compound: Li2Y14Ti14S14O35
Source: the Materials Project
Functional: GGA-PBE
Structure: relaxed

Lattice parameters (Å, degrees): 8.598 11.694 12.158 84.04 81.87 77.26
Fractional coordinates of all 79 atoms:
Li: 0.000 0.000 0.000
Li: 0.000 0.000 0.500
Y: 0.022 0.669 0.381
Y: 0.121 0.331 0.905
Y: 0.167 0.668 0.666
Y: 0.265 0.333 0.189
Y: 0.310 0.669 0.952
Y: 0.405 0.334 0.476
Y: 0.455 0.666 0.237
Y: 0.545 0.334 0.763
Y: 0.595 0.666 0.524
Y: 0.690 0.331 0.048
Y: 0.735 0.667 0.811
Y: 0.833 0.332 0.334
Y: 0.879 0.669 0.095
Y: 0.978 0.331 0.619
Ti: 0.028 0.164 0.135
Ti: 0.122 0.836 0.159
Ti: 0.176 0.164 0.416
Ti: 0.269 0.836 0.440
Ti: 0.310 0.160 0.704
Ti: 0.401 0.840 0.727
Ti: 0.454 0.160 0.989
Ti: 0.546 0.840 0.011
Ti: 0.599 0.160 0.273
Ti: 0.690 0.840 0.296
Ti: 0.731 0.164 0.560
Ti: 0.824 0.836 0.584
Ti: 0.878 0.164 0.841
Ti: 0.972 0.836 0.865
S: 0.045 0.593 0.887
S: 0.096 0.408 0.400
S: 0.186 0.592 0.171
S: 0.239 0.412 0.685
S: 0.329 0.592 0.458
S: 0.382 0.412 0.971
S: 0.475 0.588 0.743
S: 0.525 0.412 0.257
S: 0.618 0.588 0.029
S: 0.671 0.408 0.542
S: 0.761 0.588 0.315
S: 0.814 0.408 0.829
S: 0.904 0.592 0.600
S: 0.955 0.407 0.113
O: 0.053 0.813 0.013
O: 0.054 0.812 0.513
O: 0.070 0.000 0.140
O: 0.085 0.201 0.770
O: 0.087 0.201 0.272
O: 0.199 0.799 0.799
O: 0.202 0.799 0.301
O: 0.209 0.000 0.431
O: 0.229 0.201 0.058
O: 0.229 0.201 0.557
O: 0.344 0.799 0.086
O: 0.344 0.799 0.586
O: 0.356 0.000 0.715
O: 0.370 0.201 0.843
O: 0.374 0.201 0.342
O: 0.485 0.799 0.872
O: 0.488 0.799 0.371
O: 0.500 0.000 0.000
O: 0.512 0.201 0.629
O: 0.515 0.201 0.128
O: 0.626 0.799 0.658
O: 0.630 0.799 0.157
O: 0.644 0.000 0.285
O: 0.656 0.201 0.414
O: 0.656 0.201 0.914
O: 0.771 0.799 0.443
O: 0.771 0.799 0.942
O: 0.791 0.000 0.569
O: 0.798 0.201 0.699
O: 0.801 0.201 0.201
O: 0.913 0.799 0.728
O: 0.915 0.799 0.230
O: 0.930 0.000 0.860
O: 0.946 0.188 0.487
O: 0.947 0.187 0.987

energy relative to the elements = -3241 meV per atom
SG = P-1, No. 2

Compound: AlAsH4O6
Source: the Materials Project
Functional: GGA-PBE
Structure: relaxed

Lattice parameters (Å, degrees): 8.899 9.881 10.264 90.00 90.00 90.00
Fractional coordinates of all 96 atoms:
Al: 0.148 0.182 0.127
Al: 0.148 0.318 0.627
Al: 0.352 0.682 0.127
Al: 0.352 0.818 0.627
Al: 0.648 0.182 0.373
Al: 0.648 0.318 0.873
Al: 0.852 0.682 0.373
Al: 0.852 0.818 0.873
As: 0.035 0.637 0.650
As: 0.035 0.863 0.150
As: 0.465 0.137 0.650
As: 0.465 0.363 0.150
As: 0.535 0.637 0.850
As: 0.535 0.863 0.350
As: 0.965 0.137 0.850
As: 0.965 0.363 0.350
H: 0.142 0.595 0.973
H: 0.142 0.905 0.473
H: 0.167 0.604 0.310
H: 0.167 0.896 0.810
H: 0.183 0.180 0.368
H: 0.183 0.320 0.868
H: 0.208 0.029 0.566
H: 0.208 0.471 0.066
H: 0.292 0.529 0.566
H: 0.292 0.971 0.066
H: 0.317 0.680 0.368
H: 0.317 0.820 0.868
H: 0.333 0.104 0.310
H: 0.333 0.396 0.810
H: 0.358 0.095 0.973
H: 0.358 0.405 0.473
H: 0.642 0.595 0.527
H: 0.642 0.905 0.027
H: 0.667 0.604 0.190
H: 0.667 0.896 0.690
H: 0.683 0.180 0.132
H: 0.683 0.320 0.632
H: 0.708 0.029 0.934
H: 0.708 0.471 0.434
H: 0.792 0.529 0.934
H: 0.792 0.971 0.434
H: 0.817 0.680 0.132
H: 0.817 0.820 0.632
H: 0.833 0.104 0.190
H: 0.833 0.396 0.690
H: 0.858 0.095 0.527
H: 0.858 0.405 0.027
O: 0.000 0.199 0.697
O: 0.000 0.301 0.197
O: 0.000 0.699 0.803
O: 0.000 0.801 0.303
O: 0.007 0.035 0.141
O: 0.007 0.465 0.641
O: 0.084 0.221 0.955
O: 0.084 0.279 0.455
O: 0.187 0.572 0.058
O: 0.187 0.928 0.558
O: 0.220 0.666 0.609
O: 0.220 0.834 0.109
O: 0.225 0.125 0.294
O: 0.225 0.375 0.794
O: 0.275 0.625 0.294
O: 0.275 0.875 0.794
O: 0.280 0.166 0.609
O: 0.280 0.334 0.109
O: 0.313 0.072 0.058
O: 0.313 0.428 0.558
O: 0.416 0.721 0.955
O: 0.416 0.779 0.455
O: 0.493 0.535 0.141
O: 0.493 0.965 0.641
O: 0.500 0.199 0.803
O: 0.500 0.301 0.303
O: 0.500 0.699 0.697
O: 0.500 0.801 0.197
O: 0.507 0.035 0.359
O: 0.507 0.465 0.859
O: 0.584 0.221 0.545
O: 0.584 0.279 0.045
O: 0.687 0.572 0.442
O: 0.687 0.928 0.942
O: 0.720 0.666 0.891
O: 0.720 0.834 0.391
O: 0.725 0.125 0.206
O: 0.725 0.375 0.706
O: 0.775 0.625 0.206
O: 0.775 0.875 0.706
O: 0.780 0.166 0.891
O: 0.780 0.334 0.391
O: 0.813 0.072 0.442
O: 0.813 0.428 0.942
O: 0.916 0.721 0.545
O: 0.916 0.779 0.045
O: 0.993 0.535 0.359
O: 0.993 0.965 0.859

energy relative to the elements = -1857 meV per atom
SG = Pbca, No. 61

Compound: Y2CuSe2O
Source: the Materials Project
Functional: GGA-PBE
Structure: relaxed

Lattice parameters (Å, degrees): 3.574 3.574 14.025 90.00 90.00 90.00
Fractional coordinates of all 6 atoms:
Y: 0.000 0.000 0.145
Y: 0.000 0.000 0.855
Cu: 0.000 0.000 0.500
Se: 0.000 0.000 0.341
Se: 0.000 0.000 0.659
O: 0.000 0.000 0.000

energy relative to the elements = -665 meV per atom
SG = P4/mmm, No. 123

Compound: BaLi2Ti6O14
Source: the Materials Project
Functional: GGA-PBE
Structure: relaxed

Lattice parameters (Å, degrees): 10.133 10.133 11.680 90.00 90.00 68.52
Fractional coordinates of all 92 atoms:
Ba: 0.145 0.855 0.879
Ba: 0.355 0.645 0.379
Ba: 0.645 0.355 0.621
Ba: 0.855 0.145 0.121
Li: 0.056 0.566 0.379
Li: 0.066 0.556 0.879
Li: 0.434 0.944 0.379
Li: 0.444 0.934 0.879
Li: 0.556 0.066 0.121
Li: 0.566 0.056 0.621
Li: 0.934 0.444 0.121
Li: 0.944 0.434 0.621
Ti: 0.006 0.775 0.614
Ti: 0.019 0.759 0.143
Ti: 0.225 0.994 0.614
Ti: 0.237 0.237 0.000
Ti: 0.241 0.981 0.143
Ti: 0.243 0.257 0.250
Ti: 0.257 0.243 0.750
Ti: 0.259 0.519 0.643
Ti: 0.263 0.263 0.500
Ti: 0.275 0.506 0.114
Ti: 0.481 0.741 0.643
Ti: 0.494 0.725 0.114
Ti: 0.506 0.275 0.886
Ti: 0.519 0.259 0.357
Ti: 0.725 0.494 0.886
Ti: 0.737 0.737 0.500
Ti: 0.741 0.481 0.357
Ti: 0.743 0.757 0.250
Ti: 0.757 0.743 0.750
Ti: 0.759 0.019 0.857
Ti: 0.763 0.763 0.000
Ti: 0.775 0.006 0.386
Ti: 0.981 0.241 0.857
Ti: 0.994 0.225 0.386
O: 0.096 0.904 0.127
O: 0.096 0.904 0.630
O: 0.121 0.347 0.872
O: 0.124 0.352 0.378
O: 0.128 0.128 0.000
O: 0.130 0.134 0.251
O: 0.132 0.641 0.740
O: 0.133 0.133 0.500
O: 0.134 0.130 0.749
O: 0.136 0.637 0.020
O: 0.137 0.636 0.520
O: 0.141 0.632 0.240
O: 0.148 0.376 0.122
O: 0.153 0.379 0.628
O: 0.347 0.121 0.128
O: 0.352 0.124 0.622
O: 0.359 0.868 0.740
O: 0.363 0.864 0.020
O: 0.364 0.863 0.520
O: 0.366 0.370 0.249
O: 0.367 0.367 0.000
O: 0.368 0.859 0.240
O: 0.370 0.366 0.751
O: 0.372 0.372 0.500
O: 0.376 0.148 0.878
O: 0.379 0.153 0.372
O: 0.404 0.596 0.130
O: 0.404 0.596 0.627
O: 0.596 0.404 0.373
O: 0.596 0.404 0.870
O: 0.621 0.847 0.628
O: 0.624 0.852 0.122
O: 0.628 0.628 0.500
O: 0.630 0.634 0.249
O: 0.632 0.141 0.760
O: 0.633 0.633 0.000
O: 0.634 0.630 0.751
O: 0.636 0.137 0.480
O: 0.637 0.136 0.980
O: 0.641 0.132 0.260
O: 0.648 0.876 0.378
O: 0.653 0.879 0.872
O: 0.847 0.621 0.372
O: 0.852 0.624 0.878
O: 0.859 0.368 0.760
O: 0.863 0.364 0.480
O: 0.864 0.363 0.980
O: 0.866 0.870 0.251
O: 0.867 0.867 0.500
O: 0.868 0.359 0.260
O: 0.870 0.866 0.749
O: 0.872 0.872 0.000
O: 0.876 0.648 0.622
O: 0.879 0.653 0.128
O: 0.904 0.096 0.370
O: 0.904 0.096 0.873

energy relative to the elements = -3393 meV per atom
SG = Cmce, No. 64

Compound: Ho4Ir
Source: the Materials Project
Functional: GGA-PBE
Structure: relaxed

Lattice parameters (Å, degrees): 7.641 7.641 7.641 60.00 60.00 60.00
Fractional coordinates of all 10 atoms:
Ho: 0.209 0.764 0.764
Ho: 0.236 0.236 0.236
Ho: 0.236 0.236 0.791
Ho: 0.236 0.791 0.236
Ho: 0.764 0.209 0.764
Ho: 0.764 0.764 0.209
Ho: 0.764 0.764 0.764
Ho: 0.791 0.236 0.236
Ir: 0.375 0.375 0.375
Ir: 0.625 0.625 0.625

energy relative to the elements = 102 meV per atom
SG = Fd-3m, No. 227

Compound: Np3Al
Source: the Materials Project
Functional: GGA-PBE
Structure: relaxed

Lattice parameters (Å, degrees): 4.307 4.307 4.307 90.00 90.00 90.00
Fractional coordinates of all 4 atoms:
Np: 0.000 0.000 0.500
Np: 0.000 0.500 0.000
Np: 0.500 0.000 0.000
Al: 0.500 0.500 0.500

energy relative to the elements = 328 meV per atom
SG = Pm-3m, No. 221

Compound: Na4MgTi2Si2O10
Source: the Materials Project
Functional: GGA-PBE
Structure: relaxed

Lattice parameters (Å, degrees): 6.802 6.802 5.137 90.00 90.00 90.00
Fractional coordinates of all 19 atoms:
Na: 0.216 0.216 0.000
Na: 0.216 0.784 0.000
Na: 0.784 0.216 0.000
Na: 0.784 0.784 0.000
Mg: 0.500 0.500 0.000
Ti: 0.000 0.500 0.553
Ti: 0.500 0.000 0.447
Si: 0.000 0.000 0.500
Si: 0.500 0.500 0.500
O: 0.000 0.202 0.679
O: 0.000 0.500 0.209
O: 0.000 0.798 0.679
O: 0.202 0.000 0.321
O: 0.312 0.500 0.706
O: 0.500 0.000 0.791
O: 0.500 0.312 0.294
O: 0.500 0.688 0.294
O: 0.688 0.500 0.706
O: 0.798 0.000 0.321

energy relative to the elements = -2683 meV per atom
SG = P-4m2, No. 115